# 1
A geometry-optimized Li12FeNi3P4C4O28 structure. Source: Materials Project, functional PBE with a Hubbard U.

Values from the calculation:
Raw total energy ... -6.4681 eV/atom
Energy of formation from the pure elements ... -2.301 eV/atom

Geometry as CIF:
```
data_Li12FeNi3P4C4O28
_chemical_formula_sum 'Li12 Fe1 Ni3 P4 C4 O28'
_cell_length_a 8.378
_cell_length_b 6.447
_cell_length_c 9.942
_cell_angle_alpha 90.00
_cell_angle_beta 94.58
_cell_angle_gamma 90.00
_space_group_name_H-M_alt 'P 1 m 1'
_space_group_IT_number 6
_space_group_name_Hall 'P -2y'
loop_
_atom_site_label
_atom_site_fract_x
_atom_site_fract_y
_atom_site_fract_z
_atom_site_occupancy
Li1 0.000 0.000 0.000 1
Li2 0.000 0.000 0.499 1
Li3 0.180 0.228 0.760 1
Li4 0.180 0.229 0.259 1
Li5 0.627 0.271 0.006 1
Li6 0.628 0.270 0.505 1
Li7 0.805 0.500 0.264 1
Li8 0.808 0.500 0.764 1
Fe1 0.240 0.500 0.492 1
Ni1 0.236 0.500 0.985 1
Ni2 0.570 0.000 0.278 1
Ni3 0.571 0.000 0.779 1
P1 0.317 0.000 0.522 1
P2 0.318 0.000 0.022 1
P3 0.489 0.500 0.241 1
P4 0.492 0.500 0.744 1
C1 0.864 0.000 0.234 1
C2 0.864 0.000 0.734 1
C3 0.937 0.500 0.530 1
C4 0.942 0.500 0.031 1
O1 0.012 0.000 0.203 1
O2 0.012 0.000 0.703 1
O3 0.053 0.500 0.626 1
O4 0.059 0.500 0.126 1
O5 0.212 0.186 0.470 1
O6 0.212 0.187 0.970 1
O7 0.321 0.500 0.296 1
O8 0.321 0.500 0.794 1
O9 0.341 0.000 0.179 1
O10 0.341 0.000 0.679 1
O11 0.466 0.500 0.083 1
O12 0.473 0.500 0.586 1
O13 0.485 0.000 0.467 1
O14 0.485 0.000 0.967 1
O15 0.594 0.313 0.293 1
O16 0.595 0.313 0.796 1
O17 0.747 0.000 0.139 1
O18 0.748 0.000 0.639 1
O19 0.790 0.500 0.561 1
O20 0.795 0.500 0.061 1
O21 0.827 0.000 0.358 1
O22 0.827 0.000 0.858 1
O23 0.973 0.500 0.406 1
O24 0.980 0.500 0.907 1
```

---

# 2
A geometry-optimized Li10Fe3Ni7O20 structure. Source: Materials Project, functional PBE with a Hubbard U.

Values from the calculation:
Raw total energy ... -5.2639 eV/atom
Energy of formation from the pure elements ... -1.623 eV/atom

Geometry as CIF:
```
data_Li10Fe3Ni7O20
_chemical_formula_sum 'Li10 Fe3 Ni7 O20'
_cell_length_a 5.161
_cell_length_b 2.849
_cell_length_c 24.046
_cell_angle_alpha 90.00
_cell_angle_beta 91.96
_cell_angle_gamma 90.00
_space_group_name_H-M_alt 'P 1 2/m 1'
_space_group_IT_number 10
_space_group_name_Hall '-P 2y'
loop_
_atom_site_label
_atom_site_fract_x
_atom_site_fract_y
_atom_site_fract_z
_atom_site_occupancy
Li1 0.000 0.000 0.000 1
Li2 0.000 0.500 0.500 1
Li3 0.197 0.000 0.600 1
Li4 0.202 0.500 0.099 1
Li5 0.396 0.500 0.701 1
Li6 0.402 0.000 0.199 1
Fe1 0.309 0.500 0.397 1
Fe2 0.500 0.000 0.500 1
Ni1 0.100 0.500 0.801 1
Ni2 0.101 0.000 0.298 1
Ni3 0.298 0.000 0.901 1
Ni4 0.500 0.500 0.000 1
O1 0.021 0.500 0.656 1
O2 0.037 0.000 0.154 1
O3 0.162 0.500 0.945 1
O4 0.169 0.000 0.448 1
O5 0.230 0.500 0.253 1
O6 0.236 0.000 0.757 1
O7 0.360 0.500 0.550 1
O8 0.367 0.000 0.044 1
O9 0.435 0.500 0.857 1
O10 0.451 0.000 0.349 1
```

---

# 3
A geometry-optimized Li9Mn2Co5O16 structure. Source: Materials Project, functional PBE with a Hubbard U.

Values from the calculation:
Raw total energy ... -5.7014 eV/atom
Energy of formation from the pure elements ... -1.711 eV/atom

Geometry as CIF:
```
data_Li9Mn2Co5O16
_chemical_formula_sum 'Li9 Mn2 Co5 O16'
_cell_length_a 4.964
_cell_length_b 6.603
_cell_length_c 9.023
_cell_angle_alpha 98.56
_cell_angle_beta 96.77
_cell_angle_gamma 97.74
_space_group_name_H-M_alt 'P 1'
_space_group_IT_number 1
_space_group_name_Hall 'P 1'
loop_
_atom_site_label
_atom_site_fract_x
_atom_site_fract_y
_atom_site_fract_z
_atom_site_occupancy
Li1 0.000 0.000 0.000 1
Li2 0.001 0.261 0.756 1
Li3 0.011 0.752 0.237 1
Li4 0.490 0.626 0.374 1
Li5 0.497 0.138 0.871 1
Li6 0.498 0.380 0.636 1
Li7 0.509 0.875 0.122 1
Li8 0.752 0.567 0.935 1
Li9 0.999 0.510 0.502 1
Mn1 0.748 0.066 0.441 1
Mn2 0.748 0.819 0.690 1
Co1 0.246 0.191 0.312 1
Co2 0.248 0.943 0.567 1
Co3 0.253 0.686 0.818 1
Co4 0.255 0.447 0.054 1
Co5 0.756 0.320 0.185 1
O1 0.103 0.464 0.280 1
O2 0.114 0.962 0.763 1
O3 0.119 0.201 0.525 1
O4 0.148 0.711 0.026 1
O5 0.367 0.419 0.847 1
O6 0.376 0.923 0.366 1
O7 0.384 0.685 0.600 1
O8 0.391 0.178 0.101 1
O9 0.591 0.581 0.152 1
O10 0.612 0.078 0.660 1
O11 0.612 0.329 0.403 1
O12 0.623 0.844 0.884 1
O13 0.875 0.805 0.486 1
O14 0.885 0.564 0.716 1
O15 0.892 0.042 0.218 1
O16 0.913 0.302 0.982 1
```

---

# 4
A geometry-optimized FePb2WO6 structure. Source: Materials Project, functional PBE with a Hubbard U.

Values from the calculation:
Raw total energy ... -6.4872 eV/atom
Energy of formation from the pure elements ... -1.715 eV/atom

Geometry as CIF:
```
data_FePb2WO6
_chemical_formula_sum 'Fe4 Pb8 W4 O24'
_cell_length_a 8.020
_cell_length_b 8.020
_cell_length_c 8.020
_cell_angle_alpha 90.00
_cell_angle_beta 90.00
_cell_angle_gamma 90.00
_space_group_name_H-M_alt 'F m -3 m'
_space_group_IT_number 225
_space_group_name_Hall '-F 4 2 3'
loop_
_atom_site_label
_atom_site_fract_x
_atom_site_fract_y
_atom_site_fract_z
_atom_site_occupancy
Fe1 0.000 0.000 0.000 1
Pb1 0.250 0.250 0.250 1
W1 0.000 0.000 0.500 1
O1 0.000 0.000 0.256 1
```

---

# 5
A geometry-optimized SrPr3Fe4O12 structure. Source: Materials Project, functional PBE with a Hubbard U.

Values from the calculation:
Raw total energy ... -7.2322 eV/atom
Energy of formation from the pure elements ... -2.631 eV/atom

Geometry as CIF:
```
data_SrPr3Fe4O12
_chemical_formula_sum 'Sr1 Pr3 Fe4 O12'
_cell_length_a 5.550
_cell_length_b 7.856
_cell_length_c 5.611
_cell_angle_alpha 90.00
_cell_angle_beta 90.18
_cell_angle_gamma 90.00
_space_group_name_H-M_alt 'P 1 m 1'
_space_group_IT_number 6
_space_group_name_Hall 'P -2y'
loop_
_atom_site_label
_atom_site_fract_x
_atom_site_fract_y
_atom_site_fract_z
_atom_site_occupancy
Sr1 0.000 0.000 0.000 1
Pr1 0.014 0.500 0.076 1
Pr2 0.498 0.500 0.572 1
Pr3 0.519 0.000 0.488 1
Fe1 0.006 0.249 0.534 1
Fe2 0.507 0.249 0.030 1
O1 0.088 0.000 0.539 1
O2 0.221 0.297 0.817 1
O3 0.289 0.295 0.315 1
O4 0.447 0.000 0.052 1
O5 0.584 0.500 0.013 1
O6 0.711 0.214 0.737 1
O7 0.785 0.218 0.250 1
O8 0.930 0.500 0.516 1
```

---

# 6
A geometry-optimized Li9Mn2Co5O16 structure. Source: Materials Project, functional PBE with a Hubbard U.

Values from the calculation:
Raw total energy ... -5.8377 eV/atom
Energy of formation from the pure elements ... -1.847 eV/atom

Geometry as CIF:
```
data_Li9Mn2Co5O16
_chemical_formula_sum 'Li18 Mn4 Co10 O32'
_cell_length_a 10.320
_cell_length_b 11.584
_cell_length_c 5.054
_cell_angle_alpha 90.00
_cell_angle_beta 110.45
_cell_angle_gamma 90.00
_space_group_name_H-M_alt 'C 1 2 1'
_space_group_IT_number 5
_space_group_name_Hall 'C 2y'
loop_
_atom_site_label
_atom_site_fract_x
_atom_site_fract_y
_atom_site_fract_z
_atom_site_occupancy
Li1 0.000 0.000 0.000 1
Li2 0.238 0.876 0.006 1
Li3 0.241 0.999 0.484 1
Li4 0.246 0.747 0.502 1
Li5 0.249 0.122 0.001 1
Mn1 0.000 0.123 0.500 1
Mn2 0.000 0.375 0.500 1
Co1 0.000 0.248 0.000 1
Co2 0.000 0.498 0.000 1
Co3 0.000 0.627 0.500 1
Co4 0.000 0.755 0.000 1
Co5 0.000 0.877 0.500 1
O1 0.105 0.373 0.244 1
O2 0.107 0.250 0.746 1
O3 0.109 0.617 0.233 1
O4 0.110 0.134 0.257 1
O5 0.116 0.006 0.724 1
O6 0.118 0.492 0.727 1
O7 0.118 0.747 0.741 1
O8 0.119 0.867 0.252 1
```

---

# 7
A geometry-optimized V3H2O8 structure. Source: Materials Project, functional PBE with a Hubbard U.

Values from the calculation:
Raw total energy ... -6.8586 eV/atom
Energy of formation from the pure elements ... -2.010 eV/atom

Geometry as CIF:
```
data_V3H2O8
_chemical_formula_sum 'V12 H8 O32'
_cell_length_a 3.692
_cell_length_b 17.224
_cell_length_c 10.038
_cell_angle_alpha 90.00
_cell_angle_beta 110.19
_cell_angle_gamma 90.00
_space_group_name_H-M_alt 'P 1 21/c 1'
_space_group_IT_number 14
_space_group_name_Hall '-P 2ybc'
loop_
_atom_site_label
_atom_site_fract_x
_atom_site_fract_y
_atom_site_fract_z
_atom_site_occupancy
V1 0.126 0.042 0.373 1
V2 0.168 0.053 0.915 1
V3 0.201 0.653 0.946 1
H1 0.219 0.736 0.165 1
H2 0.311 0.185 0.046 1
O1 0.016 0.593 0.272 1
O2 0.042 0.555 0.791 1
O3 0.102 0.715 0.814 1
O4 0.211 0.150 0.965 1
O5 0.276 0.125 0.529 1
O6 0.319 0.543 0.070 1
O7 0.322 0.518 0.575 1
O8 0.334 0.716 0.096 1
```

---

# 8
A geometry-optimized Pr2P3H5WO9 structure. Source: Materials Project, functional PBE with a Hubbard U.

Values from the calculation:
Raw total energy ... -6.3969 eV/atom
Energy of formation from the pure elements ... -1.915 eV/atom

Geometry as CIF:
```
data_Pr2P3H5WO9
_chemical_formula_sum 'Pr8 P12 H20 W4 O36'
_cell_length_a 9.328
_cell_length_b 8.676
_cell_length_c 13.709
_cell_angle_alpha 90.00
_cell_angle_beta 112.23
_cell_angle_gamma 90.00
_space_group_name_H-M_alt 'P 1 21/c 1'
_space_group_IT_number 14
_space_group_name_Hall '-P 2ybc'
loop_
_atom_site_label
_atom_site_fract_x
_atom_site_fract_y
_atom_site_fract_z
_atom_site_occupancy
Pr1 0.081 0.198 0.460 1
Pr2 0.314 0.059 0.246 1
P1 0.059 0.586 0.327 1
P2 0.266 0.715 0.079 1
P3 0.440 0.230 0.554 1
H1 0.168 0.698 0.325 1
H2 0.258 0.093 0.728 1
H3 0.265 0.706 0.489 1
H4 0.499 0.000 0.178 1
H5 0.499 0.626 0.473 1
W1 0.377 0.131 0.859 1
O1 0.036 0.143 0.109 1
O2 0.054 0.063 0.289 1
O3 0.156 0.061 0.879 1
O4 0.163 0.570 0.039 1
O5 0.181 0.682 0.632 1
O6 0.321 0.218 0.100 1
O7 0.335 0.153 0.446 1
O8 0.422 0.641 0.875 1
O9 0.440 0.693 0.145 1
```

---

# 9
A geometry-optimized MgFe6O6F6 structure. Source: Materials Project, functional PBE with a Hubbard U.

Values from the calculation:
Raw total energy ... -5.9747 eV/atom
Energy of formation from the pure elements ... -2.124 eV/atom

Geometry as CIF:
```
data_MgFe6O6F6
_chemical_formula_sum 'Mg1 Fe6 O6 F6'
_cell_length_a 3.074
_cell_length_b 5.238
_cell_length_c 14.423
_cell_angle_alpha 95.22
_cell_angle_beta 90.00
_cell_angle_gamma 90.36
_space_group_name_H-M_alt 'P 1'
_space_group_IT_number 1
_space_group_name_Hall 'P 1'
loop_
_atom_site_label
_atom_site_fract_x
_atom_site_fract_y
_atom_site_fract_z
_atom_site_occupancy
Mg1 0.000 0.000 0.000 1
Fe1 0.008 0.172 0.515 1
Fe2 0.008 0.331 0.806 1
Fe3 0.010 0.121 0.196 1
Fe4 0.503 0.489 0.022 1
Fe5 0.508 0.750 0.663 1
Fe6 0.510 0.556 0.355 1
O1 0.009 0.427 0.273 1
O2 0.014 0.320 0.938 1
O3 0.506 0.017 0.574 1
O4 0.508 0.313 0.441 1
O5 0.510 0.488 0.765 1
O6 0.512 0.174 0.103 1
F1 0.006 0.507 0.600 1
F2 0.009 0.975 0.755 1
F3 0.010 0.791 0.407 1
F4 0.498 0.819 0.943 1
F5 0.507 0.938 0.254 1
F6 0.993 0.726 0.092 1
```